Below is an optimized crystal structure of LiAuS4O14, with properties calculated at the PBE level.

abc: 5.543 6.720 8.617
angles: 106.60 91.95 102.90
Space group P-1 (No. 2)
Symmetry-distinct sites (fractional):
Li 0.000 0.000 0.000 x1
Au 0.000 0.500 0.500 x1
S 0.160 0.307 0.757 x2
S 0.436 0.738 0.768 x2
O 0.044 0.597 0.298 x2
O 0.093 0.260 0.904 x2
O 0.234 0.154 0.627 x2
O 0.276 0.855 0.861 x2
O 0.300 0.172 0.210 x2
O 0.357 0.663 0.584 x2
O 0.409 0.516 0.818 x2

Computed properties:
energy of formation from the pure elements	-1.644	eV per atom

=====

Below is an optimized crystal structure of PdF4, with properties calculated at the PBE level.

abc: 5.582 5.582 5.649
angles: 106.87 106.87 114.37
Space group P1 (No. 1)
Symmetry-distinct sites (fractional):
Pd 0.000 0.000 0.000 x1
Pd 0.242 0.754 0.498 x1
F 0.001 0.299 0.305 x1
F 0.012 0.238 0.814 x1
F 0.404 0.197 0.176 x1
F 0.441 0.160 0.680 x1
F 0.480 0.763 0.314 x1
F 0.539 0.754 0.804 x1
F 0.934 0.727 0.175 x1
F 0.968 0.694 0.683 x1

Computed properties:
energy above the lowest structure with this stoichiometry	27	meV/atom
energy of formation from the pure elements	-1.470	eV per atom